Below is an optimized crystal structure of Sr3Ca5TiMn7O20, with properties calculated at the GGA+U level.

Calculated values
- E_form: -2.685 eV per atom
- Energy: -1029.33 eV for the cell shown

Unit cell a=10.999 b=11.199 c=17.453 alpha=108.63 beta=108.34 gamma=90.04
Sites, in units of the cell vectors:
Sr (0.000, 0.000, 0.000)
Sr (0.001, 0.498, 0.002)
Sr (0.140, 0.138, 0.779)
Sr (0.142, 0.140, 0.284)
Sr (0.252, 0.238, 0.999)
Sr (0.254, 0.738, 0.002)
Sr (0.393, 0.376, 0.281)
Sr (0.501, 0.999, 0.002)
Sr (0.641, 0.639, 0.781)
Sr (0.749, 0.738, 0.002)
Sr (0.890, 0.878, 0.779)
Sr (0.892, 0.374, 0.281)
Ca (0.006, 0.503, 0.502)
Ca (0.010, 0.006, 0.502)
Ca (0.144, 0.645, 0.785)
Ca (0.148, 0.644, 0.284)
Ca (0.250, 0.232, 0.503)
Ca (0.256, 0.733, 0.503)
Ca (0.393, 0.875, 0.785)
Ca (0.395, 0.876, 0.287)
Ca (0.396, 0.376, 0.786)
Ca (0.500, 0.501, 0.998)
Ca (0.502, 0.003, 0.503)
Ca (0.505, 0.506, 0.502)
Ca (0.643, 0.642, 0.283)
Ca (0.645, 0.147, 0.785)
Ca (0.648, 0.149, 0.286)
Ca (0.748, 0.232, 0.995)
Ca (0.755, 0.730, 0.502)
Ca (0.759, 0.239, 0.504)
Ca (0.892, 0.376, 0.785)
Ca (0.901, 0.880, 0.284)
Ti (0.446, 0.691, 0.395)
Ti (0.450, 0.189, 0.399)
Ti (0.698, 0.941, 0.394)
Ti (0.945, 0.689, 0.391)
Mn (0.089, 0.346, 0.142)
Mn (0.090, 0.840, 0.143)
Mn (0.092, 0.838, 0.638)
Mn (0.093, 0.347, 0.644)
Mn (0.195, 0.440, 0.889)
Mn (0.195, 0.937, 0.889)
Mn (0.197, 0.939, 0.395)
Mn (0.198, 0.441, 0.396)
Mn (0.340, 0.535, 0.642)
Mn (0.342, 0.539, 0.143)
Mn (0.347, 0.035, 0.149)
Mn (0.348, 0.036, 0.645)
Mn (0.444, 0.686, 0.890)
Mn (0.446, 0.189, 0.890)
Mn (0.587, 0.847, 0.640)
Mn (0.589, 0.840, 0.147)
Mn (0.590, 0.340, 0.642)
Mn (0.593, 0.343, 0.138)
Mn (0.692, 0.938, 0.889)
Mn (0.693, 0.438, 0.892)
Mn (0.697, 0.441, 0.395)
Mn (0.834, 0.534, 0.142)
Mn (0.835, 0.034, 0.637)
Mn (0.835, 0.036, 0.142)
Mn (0.845, 0.533, 0.643)
Mn (0.942, 0.190, 0.889)
Mn (0.945, 0.687, 0.889)
Mn (0.947, 0.191, 0.395)
O (0.004, 0.244, 0.025)
O (0.005, 0.232, 0.530)
O (0.005, 0.724, 0.522)
O (0.013, 0.738, 0.025)
O (0.015, 0.002, 0.143)
O (0.019, 0.998, 0.633)
O (0.024, 0.513, 0.152)
O (0.027, 0.517, 0.641)
O (0.065, 0.559, 0.878)
O (0.066, 0.566, 0.382)
O (0.067, 0.064, 0.885)
O (0.070, 0.055, 0.388)
O (0.071, 0.318, 0.896)
O (0.075, 0.813, 0.895)
O (0.076, 0.819, 0.406)
O (0.083, 0.324, 0.408)
O (0.114, 0.839, 0.254)
O (0.123, 0.355, 0.759)
O (0.124, 0.346, 0.254)
O (0.125, 0.850, 0.753)
O (0.252, 0.540, 0.533)
O (0.258, 0.521, 0.019)
O (0.260, 0.037, 0.534)
O (0.266, 0.369, 0.142)
O (0.268, 0.019, 0.032)
O (0.272, 0.872, 0.152)
O (0.273, 0.366, 0.642)
O (0.278, 0.867, 0.642)
O (0.314, 0.556, 0.876)
O (0.314, 0.559, 0.383)
O (0.319, 0.054, 0.383)
O (0.320, 0.056, 0.881)
O (0.324, 0.813, 0.894)
O (0.327, 0.821, 0.407)
O (0.329, 0.322, 0.897)
O (0.332, 0.320, 0.409)
O (0.373, 0.655, 0.267)
O (0.374, 0.146, 0.264)
O (0.375, 0.643, 0.757)
O (0.379, 0.147, 0.760)
O (0.494, 0.723, 0.521)
O (0.504, 0.219, 0.520)
O (0.506, 0.237, 0.023)
O (0.507, 0.729, 0.023)
O (0.512, 0.506, 0.633)
O (0.524, 0.017, 0.152)
O (0.524, 0.023, 0.642)
O (0.529, 0.511, 0.144)
O (0.560, 0.555, 0.880)
O (0.561, 0.058, 0.377)
O (0.566, 0.062, 0.881)
O (0.568, 0.564, 0.384)
O (0.572, 0.816, 0.897)
O (0.576, 0.821, 0.410)
O (0.577, 0.318, 0.904)
O (0.579, 0.316, 0.406)
O (0.616, 0.840, 0.268)
O (0.621, 0.349, 0.763)
O (0.624, 0.343, 0.251)
O (0.624, 0.856, 0.760)
O (0.741, 0.039, 0.518)
O (0.752, 0.525, 0.020)
O (0.755, 0.537, 0.534)
O (0.757, 0.026, 0.025)
O (0.767, 0.861, 0.632)
O (0.770, 0.354, 0.135)
O (0.774, 0.876, 0.151)
O (0.778, 0.370, 0.642)
O (0.810, 0.052, 0.379)
O (0.814, 0.063, 0.884)
O (0.815, 0.564, 0.384)
O (0.818, 0.554, 0.881)
O (0.821, 0.316, 0.900)
O (0.825, 0.326, 0.406)
O (0.825, 0.817, 0.897)
O (0.828, 0.826, 0.411)
O (0.866, 0.657, 0.267)
O (0.869, 0.149, 0.759)
O (0.872, 0.141, 0.258)
O (0.877, 0.639, 0.758)


Below is an optimized crystal structure of Co2H21S3N6O12, with properties calculated at the GGA+U level.

Calculated values
- E_form: -0.877 eV per atom
- Energy: -937.26 eV for the cell shown

Unit cell a=11.323 b=10.032 c=15.900 alpha=90.00 beta=117.35 gamma=90.00
Sites, in units of the cell vectors:
Co (0.005, 0.038, 0.325)
Co (0.005, 0.462, 0.825)
Co (0.265, 0.542, 0.258)
Co (0.265, 0.958, 0.758)
Co (0.735, 0.042, 0.242)
Co (0.735, 0.458, 0.742)
Co (0.995, 0.538, 0.175)
Co (0.995, 0.962, 0.675)
H (0.072, 0.745, 0.288)
H (0.072, 0.755, 0.788)
H (0.080, 0.003, 0.199)
H (0.080, 0.497, 0.699)
H (0.086, 0.228, 0.442)
H (0.086, 0.272, 0.942)
H (0.088, 0.557, 0.980)
H (0.088, 0.943, 0.480)
H (0.125, 0.623, 0.359)
H (0.125, 0.877, 0.859)
H (0.126, 0.157, 0.695)
H (0.126, 0.343, 0.195)
H (0.131, 0.242, 0.858)
H (0.131, 0.258, 0.358)
H (0.135, 0.672, 0.114)
H (0.135, 0.828, 0.614)
H (0.160, 0.601, 0.788)
H (0.160, 0.899, 0.288)
H (0.191, 0.590, 0.939)
H (0.191, 0.910, 0.439)
H (0.211, 0.051, 0.297)
H (0.211, 0.449, 0.797)
H (0.215, 0.151, 0.442)
H (0.215, 0.349, 0.942)
H (0.348, 0.720, 0.796)
H (0.348, 0.780, 0.296)
H (0.354, 0.080, 0.919)
H (0.354, 0.420, 0.419)
H (0.363, 0.074, 0.658)
H (0.363, 0.426, 0.158)
H (0.364, 0.726, 0.201)
H (0.364, 0.774, 0.701)
H (0.373, 0.585, 0.439)
H (0.373, 0.915, 0.939)
H (0.385, 0.177, 0.749)
H (0.385, 0.323, 0.249)
H (0.472, 0.683, 0.311)
H (0.472, 0.817, 0.811)
H (0.476, 0.000, 0.910)
H (0.476, 0.500, 0.410)
H (0.488, 0.048, 0.763)
H (0.488, 0.452, 0.263)
H (0.512, 0.548, 0.737)
H (0.512, 0.952, 0.237)
H (0.524, 0.000, 0.090)
H (0.524, 0.500, 0.590)
H (0.528, 0.183, 0.189)
H (0.528, 0.317, 0.689)
H (0.615, 0.677, 0.751)
H (0.615, 0.823, 0.251)
H (0.627, 0.085, 0.061)
H (0.627, 0.415, 0.561)
H (0.636, 0.226, 0.299)
H (0.636, 0.274, 0.799)
H (0.637, 0.574, 0.842)
H (0.637, 0.926, 0.342)
H (0.646, 0.580, 0.581)
H (0.646, 0.920, 0.081)
H (0.652, 0.220, 0.704)
H (0.652, 0.280, 0.204)
H (0.785, 0.651, 0.058)
H (0.785, 0.849, 0.558)
H (0.789, 0.551, 0.203)
H (0.789, 0.949, 0.703)
H (0.809, 0.090, 0.561)
H (0.809, 0.410, 0.061)
H (0.840, 0.101, 0.712)
H (0.840, 0.399, 0.212)
H (0.865, 0.172, 0.386)
H (0.865, 0.328, 0.886)
H (0.869, 0.742, 0.642)
H (0.869, 0.758, 0.142)
H (0.874, 0.657, 0.805)
H (0.874, 0.843, 0.305)
H (0.875, 0.123, 0.141)
H (0.875, 0.377, 0.641)
H (0.912, 0.057, 0.520)
H (0.912, 0.443, 0.020)
H (0.914, 0.728, 0.058)
H (0.914, 0.772, 0.558)
H (0.920, 0.503, 0.301)
H (0.920, 0.997, 0.801)
H (0.928, 0.245, 0.212)
H (0.928, 0.255, 0.712)
S (0.211, 0.581, 0.548)
S (0.211, 0.919, 0.048)
S (0.269, 0.114, 0.118)
S (0.269, 0.386, 0.618)
S (0.470, 0.594, 0.021)
S (0.470, 0.906, 0.521)
S (0.530, 0.094, 0.479)
S (0.530, 0.406, 0.979)
S (0.731, 0.614, 0.382)
S (0.731, 0.886, 0.882)
S (0.789, 0.081, 0.952)
S (0.789, 0.419, 0.452)
N (0.091, 0.588, 0.920)
N (0.091, 0.912, 0.420)
N (0.120, 0.184, 0.399)
N (0.120, 0.316, 0.899)
N (0.125, 0.505, 0.771)
N (0.125, 0.995, 0.271)
N (0.373, 0.700, 0.266)
N (0.373, 0.800, 0.766)
N (0.379, 0.508, 0.398)
N (0.379, 0.992, 0.898)
N (0.391, 0.081, 0.729)
N (0.391, 0.419, 0.229)
N (0.609, 0.581, 0.771)
N (0.609, 0.919, 0.271)
N (0.621, 0.008, 0.102)
N (0.621, 0.492, 0.602)
N (0.627, 0.200, 0.234)
N (0.627, 0.300, 0.734)
N (0.875, 0.005, 0.729)
N (0.875, 0.495, 0.229)
N (0.880, 0.684, 0.101)
N (0.880, 0.816, 0.601)
N (0.909, 0.088, 0.580)
N (0.909, 0.412, 0.080)
O (0.111, 0.657, 0.294)
O (0.111, 0.843, 0.794)
O (0.132, 0.580, 0.135)
O (0.132, 0.920, 0.635)
O (0.134, 0.550, 0.447)
O (0.134, 0.950, 0.947)
O (0.135, 0.651, 0.590)
O (0.135, 0.849, 0.090)
O (0.136, 0.097, 0.747)
O (0.136, 0.403, 0.247)
O (0.150, 0.191, 0.101)
O (0.150, 0.309, 0.601)
O (0.341, 0.641, 0.574)
O (0.341, 0.859, 0.074)
O (0.348, 0.169, 0.074)
O (0.348, 0.331, 0.574)
O (0.351, 0.075, 0.217)
O (0.351, 0.425, 0.717)
O (0.383, 0.661, 0.931)
O (0.383, 0.839, 0.431)
O (0.398, 0.550, 0.073)
O (0.398, 0.950, 0.573)
O (0.405, 0.164, 0.422)
O (0.405, 0.336, 0.922)
O (0.595, 0.664, 0.078)
O (0.595, 0.836, 0.578)
O (0.602, 0.050, 0.427)
O (0.602, 0.450, 0.927)
O (0.617, 0.161, 0.569)
O (0.617, 0.339, 0.069)
O (0.649, 0.575, 0.283)
O (0.649, 0.925, 0.783)
O (0.652, 0.669, 0.426)
O (0.652, 0.831, 0.926)
O (0.659, 0.141, 0.926)
O (0.659, 0.359, 0.426)
O (0.850, 0.691, 0.399)
O (0.850, 0.809, 0.899)
O (0.864, 0.597, 0.753)
O (0.864, 0.903, 0.253)
O (0.865, 0.151, 0.910)
O (0.865, 0.349, 0.410)
O (0.866, 0.050, 0.053)
O (0.866, 0.450, 0.553)
O (0.868, 0.080, 0.365)
O (0.868, 0.420, 0.865)
O (0.889, 0.157, 0.206)
O (0.889, 0.343, 0.706)